Computed, not measured: a relaxed CaW2O4 crystal at the PBE+U level of DFT.

Lattice parameters (Å, degrees): 6.6386 6.6750 16.1056 90.48 90.93 119.60
Closest atoms and distances in Å follow each position.
Element x y z (fractional)
Ca  0.0000  0.0000  0.0000  4 O 2.26-2.33
Ca  0.0050  0.0184  0.2489  4 O 2.23-2.34
Ca  0.3387  0.7093  0.5828  4 O 2.27-2.33
Ca  0.6607  0.3312  0.9054  4 O 2.25-2.39
Ca  0.6784  0.3615  0.2891  6 O 2.27-2.40
Ca  0.9903  0.0276  0.6264  6 O 2.33-2.41
W  0.0015  0.5068  0.1238  6 O 2.16-2.25
W  0.1522  0.3361  0.7926  6 O 2.17-2.23
W  0.1564  0.8311  0.7928  6 O 2.17-2.22
W  0.3323  0.6668  0.9581  6 O 2.16-2.24
W  0.3336  0.2098  0.4606  6 O 2.17-2.27
W  0.4126  0.7616  0.3321  2 O 2.04-2.17
W  0.5032  0.5061  0.1215  6 O 2.05-2.19
W  0.5035  0.0087  0.1234  6 O 2.17-2.29
W  0.6020  0.3592  0.6663  2 O 2.03-2.17
W  0.6576  0.8360  0.7900  6 O 2.17-2.26
W  0.8370  0.7096  0.4554  6 O 2.17-2.30
W  0.8450  0.2153  0.4606  6 O 2.02-2.21
O  0.0014  0.0441  0.3907  3 W 2.20-2.22, 1 Ca 2.29
O  0.0376  0.5278  0.8718  3 W 2.17-2.20, 1 Ca 2.26
O  0.1394  0.3397  0.5298  2 W 2.02-2.19
O  0.1554  0.8925  0.5292  2 W 2.17, 2 Ca 2.27-2.34
O  0.1871  0.8127  0.0470  3 W 2.19-2.21, 1 Ca 2.28
O  0.1957  0.3798  0.0489  3 W 2.11-2.24, 1 Ca 2.33
O  0.3047  0.1509  0.7253  3 W 2.03-2.23
O  0.3182  0.6639  0.7258  3 W 2.18-2.20, 1 Ca 2.32
O  0.3444  0.6693  0.1934  4 W 2.19-2.29
O  0.3675  0.2090  0.1878  2 W 2.05-2.21
O  0.4688  0.9502  0.8731  3 W 2.16-2.22, 1 Ca 2.26
O  0.4760  0.5252  0.8689  3 W 2.19-2.24, 1 Ca 2.25
O  0.5033  0.5094  0.3759  3 W 2.17-2.30, 1 Ca 2.33
O  0.5184  0.0708  0.3904  3 W 2.04-2.19
O  0.6258  0.8068  0.0499  3 W 2.12-2.23, 1 Ca 2.32
O  0.6637  0.3371  0.0536  3 W 2.19-2.23, 1 Ca 2.39
O  0.6841  0.3887  0.5278  4 W 2.21-2.29
O  0.7009  0.9057  0.5231  2 W 2.08-2.21
O  0.8090  0.6490  0.1890  2 W 2.05-2.21
O  0.8238  0.1591  0.7243  2 W 2.17, 1 Ca 2.34
O  0.8252  0.1956  0.1945  2 W 2.16-2.17, 2 Ca 2.23-2.36
O  0.8482  0.7057  0.7105  3 W 2.17-2.26, 1 Ca 2.33
O  0.9603  0.5021  0.3899  2 W 2.04-2.20, 1 Ca 2.27
O  0.9935  0.0052  0.8599  3 W 2.22, 1 Ca 2.26

## Properties
Calculated formation energy = -1965 meV per atom
Volume = 14.770 Å³/atom
Total energy = -7.121 eV/atom